#1
Compound: Li3CrCo3O8
Source: the Materials Project database
Functional: PBE+U
Structure: relaxed

Computed properties:
Size of the total moment   4.00 μB per cell
Symmetry   No. 2

a = 5.898 Å, b = 5.847 Å, c = 10.397 Å
α = 73.40°, β = 106.24°, γ = 119.81°
Element x y z (fractional)
Li: 0.253 0.252 0.251
Li: 0.748 0.749 0.749
Li: 0.746 0.749 0.250
Li: 0.254 0.251 0.750
Li: 0.248 0.744 0.250
Li: 0.752 0.256 0.750
Cr: 0.000 0.000 0.000
Cr: 0.500 0.500 0.500
Co: 0.000 0.000 0.500
Co: 0.000 0.500 0.500
Co: 0.500 0.000 0.500
Co: 0.500 0.500 0.000
Co: 0.500 0.000 0.000
Co: 0.000 0.500 0.000
O: 0.374 0.633 0.116
O: 0.875 0.143 0.613
O: 0.125 0.857 0.387
O: 0.626 0.367 0.884
O: 0.350 0.116 0.108
O: 0.860 0.639 0.607
O: 0.867 0.632 0.106
O: 0.388 0.145 0.609
O: 0.879 0.119 0.108
O: 0.380 0.616 0.609
O: 0.620 0.384 0.391
O: 0.121 0.881 0.892
O: 0.613 0.855 0.391
O: 0.133 0.368 0.894
O: 0.140 0.361 0.393
O: 0.650 0.884 0.892


#2
Compound: Li3CrCo3O8
Source: the Materials Project database
Functional: PBE+U
Structure: relaxed

Computed properties:
Size of the total moment   8.00 μB per cell
Symmetry   No. 2

a = 5.885 Å, b = 5.887 Å, c = 10.400 Å
α = 73.15°, β = 106.74°, γ = 121.31°
Element x y z (fractional)
Li: 0.254 0.248 0.251
Li: 0.746 0.752 0.749
Li: 0.753 0.745 0.251
Li: 0.247 0.255 0.749
Li: 0.251 0.752 0.254
Li: 0.749 0.248 0.746
Cr: 0.500 0.500 0.500
Cr: 0.000 0.000 0.000
Co: 0.500 0.500 0.000
Co: 0.000 0.000 0.500
Co: 0.500 0.000 0.000
Co: 0.000 0.500 0.500
Co: 0.000 0.500 0.000
Co: 0.500 0.000 0.500
O: 0.379 0.621 0.112
O: 0.872 0.130 0.620
O: 0.128 0.870 0.380
O: 0.621 0.379 0.888
O: 0.372 0.148 0.106
O: 0.872 0.642 0.608
O: 0.852 0.628 0.106
O: 0.355 0.131 0.609
O: 0.868 0.132 0.105
O: 0.371 0.632 0.606
O: 0.628 0.368 0.394
O: 0.132 0.868 0.895
O: 0.645 0.869 0.391
O: 0.148 0.372 0.894
O: 0.128 0.358 0.392
O: 0.628 0.852 0.894


#3
Compound: Li3CrCo3O8
Source: the Materials Project database
Functional: PBE+U
Structure: relaxed

Computed properties:
Size of the total moment   2.00 μB per cell
Symmetry   No. 166

a = 5.848 Å, b = 5.848 Å, c = 5.848 Å
α = 58.23°, β = 58.23°, γ = 58.23°
Element x y z (fractional)
Li: 0.000 0.500 0.000
Li: 0.000 0.000 0.500
Li: 0.500 0.000 0.000
Cr: 0.000 0.000 0.000
Co: 0.000 0.500 0.500
Co: 0.500 0.000 0.500
Co: 0.500 0.500 0.000
O: 0.763 0.763 0.260
O: 0.763 0.260 0.763
O: 0.260 0.763 0.763
O: 0.262 0.262 0.262
O: 0.738 0.738 0.738
O: 0.740 0.237 0.237
O: 0.237 0.740 0.237
O: 0.237 0.237 0.740


The energy of each structure relative to the most stable one, in kJ/mol of atoms, is as follows: #1 9.4; #2 5.3; #3 0.0.


#1
Compound: Li3CrCo3O8
Source: the Materials Project database
Functional: PBE+U
Structure: relaxed

Computed properties:
Size of the total moment   8.00 μB per cell
Symmetry   No. 5

a = 5.832 Å, b = 10.139 Å, c = 5.921 Å
α = 106.92°, β = 119.50°, γ = 90.00°
Element x y z (fractional)
Li: 0.250 0.750 0.500
Li: 0.750 0.250 0.500
Li: 0.999 0.500 0.499
Li: 0.500 0.000 0.500
Li: 0.500 0.500 0.501
Li: 0.000 0.000 0.500
Cr: 0.003 0.000 0.000
Cr: 0.498 0.500 0.000
Co: 0.501 0.000 0.000
Co: 0.249 0.750 0.000
Co: 0.249 0.250 0.000
Co: 0.999 0.500 0.000
Co: 0.749 0.250 0.000
Co: 0.750 0.750 0.000
O: 0.108 0.382 0.215
O: 0.608 0.882 0.215
O: 0.393 0.118 0.785
O: 0.893 0.618 0.785
O: 0.391 0.632 0.777
O: 0.886 0.132 0.777
O: 0.109 0.868 0.223
O: 0.614 0.368 0.223
O: 0.870 0.614 0.214
O: 0.372 0.115 0.215
O: 0.157 0.885 0.785
O: 0.656 0.386 0.786
O: 0.344 0.615 0.215
O: 0.844 0.114 0.214
O: 0.630 0.886 0.786
O: 0.128 0.385 0.785


#2
Compound: Li3CrCo3O8
Source: the Materials Project database
Functional: PBE+U
Structure: relaxed

Computed properties:
Size of the total moment   6.00 μB per cell
Symmetry   No. 2

a = 5.881 Å, b = 5.890 Å, c = 10.400 Å
α = 73.20°, β = 106.78°, γ = 121.28°
Element x y z (fractional)
Li: 0.254 0.248 0.251
Li: 0.746 0.752 0.749
Li: 0.752 0.745 0.251
Li: 0.248 0.255 0.749
Li: 0.251 0.751 0.254
Li: 0.749 0.248 0.746
Cr: 0.500 0.500 0.500
Cr: 0.000 0.000 0.000
Co: 0.500 0.500 0.000
Co: 0.000 0.000 0.500
Co: 0.500 0.000 0.000
Co: 0.000 0.500 0.500
Co: 0.000 0.500 0.000
Co: 0.500 0.000 0.500
O: 0.379 0.621 0.112
O: 0.872 0.130 0.620
O: 0.128 0.870 0.380
O: 0.621 0.379 0.888
O: 0.373 0.148 0.106
O: 0.873 0.642 0.608
O: 0.853 0.628 0.106
O: 0.355 0.131 0.609
O: 0.868 0.132 0.105
O: 0.372 0.632 0.607
O: 0.628 0.368 0.393
O: 0.132 0.868 0.895
O: 0.645 0.869 0.391
O: 0.148 0.372 0.894
O: 0.128 0.358 0.392
O: 0.627 0.852 0.894


The energy of each structure relative to the most stable one, in kJ/mol of atoms, is as follows: #1 0.0; #2 6.6.


#1
Compound: Mg14CrCoO16
Source: the Materials Project database
Functional: PBE+U
Structure: relaxed

Computed properties:
Size of the total moment   5.80 μB per cell
Symmetry   No. 123

a = 8.541 Å, b = 8.541 Å, c = 4.276 Å
α = 90.00°, β = 90.00°, γ = 90.00°
Element x y z (fractional)
Mg: 0.000 0.500 0.000
Mg: 0.500 0.000 0.000
Mg: 0.000 0.246 0.500
Mg: 0.000 0.754 0.500
Mg: 0.500 0.248 0.500
Mg: 0.500 0.752 0.500
Mg: 0.246 0.000 0.500
Mg: 0.248 0.500 0.500
Mg: 0.754 0.000 0.500
Mg: 0.752 0.500 0.500
Mg: 0.246 0.246 0.000
Mg: 0.246 0.754 0.000
Mg: 0.754 0.246 0.000
Mg: 0.754 0.754 0.000
Cr: 0.500 0.500 0.000
Co: 0.000 0.000 0.000
O: 0.261 0.000 0.000
O: 0.256 0.500 0.000
O: 0.739 0.000 0.000
O: 0.744 0.500 0.000
O: 0.250 0.250 0.500
O: 0.250 0.750 0.500
O: 0.750 0.250 0.500
O: 0.750 0.750 0.500
O: 0.000 0.000 0.500
O: 0.000 0.500 0.500
O: 0.500 0.000 0.500
O: 0.500 0.500 0.500
O: 0.000 0.261 0.000
O: 0.000 0.739 0.000
O: 0.500 0.256 0.000
O: 0.500 0.744 0.000


#2
Compound: Mg14CrCoO16
Source: the Materials Project database
Functional: PBE+U
Structure: relaxed

Computed properties:
Size of the total moment   5.80 μB per cell
Symmetry   No. 47

a = 8.521 Å, b = 8.547 Å, c = 4.270 Å
α = 90.00°, β = 90.00°, γ = 90.00°
Element x y z (fractional)
Mg: 0.500 0.000 0.000
Mg: 0.500 0.500 0.000
Mg: 0.000 0.245 0.500
Mg: 0.000 0.755 0.500
Mg: 0.500 0.249 0.500
Mg: 0.500 0.751 0.500
Mg: 0.248 0.000 0.500
Mg: 0.251 0.500 0.500
Mg: 0.752 0.000 0.500
Mg: 0.749 0.500 0.500
Mg: 0.249 0.246 0.000
Mg: 0.249 0.754 0.000
Mg: 0.751 0.246 0.000
Mg: 0.751 0.754 0.000
Cr: 0.000 0.500 0.000
Co: 0.000 0.000 0.000
O: 0.258 0.000 0.000
O: 0.247 0.500 0.000
O: 0.742 0.000 0.000
O: 0.753 0.500 0.000
O: 0.249 0.251 0.500
O: 0.249 0.749 0.500
O: 0.751 0.251 0.500
O: 0.751 0.749 0.500
O: 0.000 0.000 0.500
O: 0.000 0.500 0.500
O: 0.500 0.000 0.500
O: 0.500 0.500 0.500
O: 0.000 0.262 0.000
O: 0.000 0.738 0.000
O: 0.500 0.253 0.000
O: 0.500 0.747 0.000


The energy of each structure relative to the most stable one, in kJ/mol of atoms, is as follows: #1 0.6; #2 0.0.


#1
Compound: MgCr2Co4O12
Source: the Materials Project database
Functional: PBE+U
Structure: relaxed

Computed properties:
Size of the total moment   12.00 μB per cell
Symmetry   No. 1

a = 5.013 Å, b = 5.015 Å, c = 9.999 Å
α = 93.44°, β = 94.10°, γ = 120.04°
Element x y z (fractional)
Mg: 0.746 0.424 0.250
Cr: 0.017 0.018 0.007
Cr: 0.479 0.493 0.504
Co: 0.148 0.826 0.500
Co: 0.347 0.681 0.008
Co: 0.680 0.338 0.977
Co: 0.814 0.157 0.501
O: 0.025 0.683 0.103
O: 0.013 0.341 0.903
O: 0.099 0.465 0.396
O: 0.503 0.864 0.594
O: 0.155 0.167 0.594
O: 0.390 0.389 0.111
O: 0.631 0.656 0.906
O: 0.316 0.978 0.905
O: 0.798 0.794 0.396
O: 0.470 0.138 0.396
O: 0.856 0.516 0.596
O: 0.693 0.058 0.101


#2
Compound: MgCr2Co4O12
Source: the Materials Project database
Functional: PBE+U
Structure: relaxed

Computed properties:
Size of the total moment   10.02 μB per cell
Symmetry   No. 1

a = 5.045 Å, b = 5.044 Å, c = 10.223 Å
α = 89.98°, β = 89.87°, γ = 119.93°
Element x y z (fractional)
Mg: 0.663 0.161 0.750
Cr: 0.002 0.001 0.001
Cr: 0.501 0.502 0.498
Co: 0.169 0.843 0.496
Co: 0.344 0.671 0.005
Co: 0.669 0.335 0.009
Co: 0.833 0.168 0.491
O: 0.000 0.653 0.093
O: 0.971 0.324 0.897
O: 0.153 0.499 0.407
O: 0.515 0.857 0.600
O: 0.149 0.155 0.592
O: 0.341 0.343 0.095
O: 0.655 0.651 0.908
O: 0.359 0.015 0.901
O: 0.843 0.843 0.405
O: 0.512 0.162 0.403
O: 0.824 0.472 0.602
O: 0.663 0.010 0.099


The energy of each structure relative to the most stable one, in kJ/mol of atoms, is as follows: #1 0.0; #2 3.6.


#1
Compound: Li2CoCuO4
Source: the Materials Project database
Functional: PBE+U
Structure: relaxed

Computed properties:
Size of the total moment   3.99 μB per cell
Symmetry   No. 74

a = 5.787 Å, b = 5.787 Å, c = 5.787 Å
α = 120.73°, β = 119.67°, γ = 89.66°
Element x y z (fractional)
Li: 0.000 0.000 0.500
Li: 0.000 0.500 0.500
Li: 0.000 0.500 0.000
Li: 0.500 0.500 0.000
Co: 0.500 0.000 0.000
Co: 0.500 0.500 0.500
Cu: 0.500 0.000 0.500
Cu: 0.000 0.000 0.000
O: 0.269 0.246 0.023
O: 0.264 0.255 0.491
O: 0.723 0.246 0.477
O: 0.264 0.773 0.009
O: 0.736 0.227 0.991
O: 0.277 0.754 0.523
O: 0.736 0.745 0.509
O: 0.731 0.754 0.977


#2
Compound: Li2CoCuO4
Source: the Materials Project database
Functional: PBE+U
Structure: relaxed

Computed properties:
Size of the total moment   0.00 μB per cell
Symmetry   No. 1

a = 5.057 Å, b = 5.913 Å, c = 5.062 Å
α = 89.92°, β = 71.50°, γ = 90.59°
Element x y z (fractional)
Li: 0.501 0.255 0.002
Li: 0.003 0.746 0.498
Li: 0.497 0.000 0.503
Li: 0.004 0.500 0.997
Co: 0.501 0.499 0.503
Co: 0.000 0.000 0.000
Cu: 0.995 0.254 0.491
Cu: 0.505 0.747 0.006
O: 0.760 0.251 0.269
O: 0.278 0.750 0.771
O: 0.236 0.255 0.716
O: 0.725 0.743 0.246
O: 0.203 0.028 0.252
O: 0.762 0.473 0.714
O: 0.749 0.973 0.797
O: 0.281 0.526 0.236


#3
Compound: Li2CoCuO4
Source: the Materials Project database
Functional: PBE+U
Structure: relaxed

Computed properties:
Size of the total moment   0.03 μB per cell
Symmetry   No. 8

a = 4.148 Å, b = 7.722 Å, c = 5.117 Å
α = 103.90°, β = 113.91°, γ = 74.42°
Element x y z (fractional)
Li: 0.747 0.875 0.370
Li: 0.748 0.377 0.873
Li: 0.503 0.748 0.754
Li: 0.496 0.253 0.245
Co: 0.997 0.501 0.496
Co: 0.001 0.000 0.002
Cu: 0.253 0.127 0.633
Cu: 0.249 0.622 0.121
O: 0.025 0.248 0.297
O: 0.020 0.730 0.770
O: 0.480 0.009 0.969
O: 0.475 0.513 0.464
O: 0.225 0.888 0.339
O: 0.242 0.379 0.863
O: 0.763 0.618 0.144
O: 0.775 0.113 0.662


The energy of each structure relative to the most stable one, in kJ/mol of atoms, is as follows: #1 0.0; #2 1.7; #3 4.4.